A relaxed structure of Sm2P3Pt4, computed with PBE.

Unit cell a=9.9587 b=9.9587 c=9.9587 alpha=155.85 beta=155.85 gamma=34.42
Fractional positions:
1 Pt 0.1962 0.1962 0.0000
2 P 0.7500 0.2500 0.5000
3 Pt 0.8038 0.8038 0.0000
4 Pt 0.5003 0.0003 0.5000
5 P 0.9261 0.9261 0.0000
6 P 0.0739 0.0739 0.0000
7 Sm 0.6277 0.6277 0.0000
8 Pt 0.9997 0.4997 0.5000
9 Sm 0.3723 0.3723 0.0000

Output
- SG: No. 119
- Calculated volume: 18.35 A^3/atom
- Energy relative to the elements: -1.09 eV per atom